a) Compound: C
Source: the Materials Project database
Functional: PBE
Structure: optimized geometry

The structure in CIF format:
```
data_C
_cell_length_a 2.4680
_cell_length_b 2.4680
_cell_length_c 14.9976
_cell_angle_alpha 90.00
_cell_angle_beta 90.00
_cell_angle_gamma 120.00
_symmetry_space_group_name_H-M 'P 63/m m c'
_symmetry_Int_Tables_number 194
_symmetry_space_group_name_Hall '-P 6c 2c'
loop_
_atom_site_label
_atom_site_fract_x
_atom_site_fract_y
_atom_site_fract_z
_atom_site_occupancy
C1 0.0000 0.0000 0.2500 1
C2 0.3333 0.6667 0.2500 1
```



b) Compound: C
Source: the Materials Project database
Functional: PBE
Structure: optimized geometry

The structure in CIF format:
```
data_C
_cell_length_a 4.379
_cell_length_b 4.379
_cell_length_c 2.515
_cell_angle_alpha 90.00
_cell_angle_beta 90.00
_cell_angle_gamma 90.00
_symmetry_space_group_name_H-M 'I 4/m m m'
_symmetry_Int_Tables_number 139
_symmetry_space_group_name_Hall '-I 4 2'
loop_
_atom_site_label
_atom_site_fract_x
_atom_site_fract_y
_atom_site_fract_z
_atom_site_occupancy
C1 0.180 0.180 0.000 1
```

M_tot	0.0	μB per cell



Most stable to least stable, the ends of the list are a) and b).



a) Compound: C
Source: the Materials Project database
Functional: PBE
Structure: optimized geometry

The structure in CIF format:
```
data_C
_cell_length_a 4.264
_cell_length_b 2.474
_cell_length_c 3.738
_cell_angle_alpha 90.00
_cell_angle_beta 93.99
_cell_angle_gamma 90.00
_symmetry_space_group_name_H-M 'C 1 2/m 1'
_symmetry_Int_Tables_number 12
_symmetry_space_group_name_Hall '-C 2y'
loop_
_atom_site_label
_atom_site_fract_x
_atom_site_fract_y
_atom_site_fract_z
_atom_site_occupancy
C1 0.166 0.000 0.000 1
```

M_tot	0.0	μB per cell



b) Compound: C
Source: the Materials Project database
Functional: PBE
Structure: optimized geometry

The structure in CIF format:
```
data_C
_cell_length_a 2.4677
_cell_length_b 2.4677
_cell_length_c 8.6850
_cell_angle_alpha 90.00
_cell_angle_beta 90.00
_cell_angle_gamma 120.00
_symmetry_space_group_name_H-M 'P 63/m m c'
_symmetry_Int_Tables_number 194
_symmetry_space_group_name_Hall '-P 6c 2c'
loop_
_atom_site_label
_atom_site_fract_x
_atom_site_fract_y
_atom_site_fract_z
_atom_site_occupancy
C1 0.0000 0.0000 0.2500 1
C2 0.3333 0.6667 0.2500 1
```



c) Compound: C
Source: the Materials Project database
Functional: PBE
Structure: optimized geometry

The structure in CIF format:
```
data_C
_cell_length_a 2.4684
_cell_length_b 2.4684
_cell_length_c 12.0611
_cell_angle_alpha 90.00
_cell_angle_beta 90.00
_cell_angle_gamma 120.00
_symmetry_space_group_name_H-M 'R -3 m'
_symmetry_Int_Tables_number 166
_symmetry_space_group_name_Hall '-R 3 2"'
loop_
_atom_site_label
_atom_site_fract_x
_atom_site_fract_y
_atom_site_fract_z
_atom_site_occupancy
C1 0.0000 0.0000 0.1667 1
```



d) Compound: C
Source: the Materials Project database
Functional: PBE
Structure: optimized geometry

The structure in CIF format:
```
data_C
_cell_length_a 4.477
_cell_length_b 4.477
_cell_length_c 4.477
_cell_angle_alpha 90.00
_cell_angle_beta 90.00
_cell_angle_gamma 90.00
_symmetry_space_group_name_H-M 'I a -3'
_symmetry_Int_Tables_number 206
_symmetry_space_group_name_Hall '-I 2b 2c 3'
loop_
_atom_site_label
_atom_site_fract_x
_atom_site_fract_y
_atom_site_fract_z
_atom_site_occupancy
C1 0.094 0.094 0.094 1
```

M_tot	0.0	μB per cell



Most stable to least stable, the ends of the list are c) and d).



a) Compound: C
Source: the Materials Project database
Functional: PBE
Structure: optimized geometry

The structure in CIF format:
```
data_C
_cell_length_a 2.4672
_cell_length_b 2.4672
_cell_length_c 31.9830
_cell_angle_alpha 90.00
_cell_angle_beta 90.00
_cell_angle_gamma 120.00
_symmetry_space_group_name_H-M 'P 63/m m c'
_symmetry_Int_Tables_number 194
_symmetry_space_group_name_Hall '-P 6c 2c'
loop_
_atom_site_label
_atom_site_fract_x
_atom_site_fract_y
_atom_site_fract_z
_atom_site_occupancy
C1 0.0000 0.0000 0.2500 1
C2 0.3333 0.6667 0.1331 1
C3 0.3333 0.6667 0.2500 1
C4 0.3333 0.6667 0.6331 1
```



b) Compound: C
Source: the Materials Project database
Functional: PBE
Structure: optimized geometry

The structure in CIF format:
```
data_C
_cell_length_a 9.635
_cell_length_b 13.322
_cell_length_c 9.118
_cell_angle_alpha 90.00
_cell_angle_beta 90.00
_cell_angle_gamma 90.00
_symmetry_space_group_name_H-M 'P n n m'
_symmetry_Int_Tables_number 58
_symmetry_space_group_name_Hall '-P 2 2n'
loop_
_atom_site_label
_atom_site_fract_x
_atom_site_fract_y
_atom_site_fract_z
_atom_site_occupancy
C1 0.009 0.115 0.150 1
C2 0.011 0.248 0.414 1
C3 0.103 0.867 0.225 1
C4 0.108 0.070 0.077 1
C5 0.121 0.784 0.330 1
C6 0.138 0.488 0.079 1
C7 0.151 0.589 0.129 1
C8 0.152 0.244 0.366 1
C9 0.166 0.653 0.000 1
C10 0.197 0.406 0.151 1
C11 0.216 0.612 0.262 1
C12 0.220 0.032 0.169 1
C13 0.220 0.935 0.230 1
C14 0.232 0.228 0.500 1
C15 0.239 0.222 0.219 1
C16 0.241 0.303 0.088 1
```

M_tot	0.0	μB per cell



Most stable to least stable, the ends of the list are a) and b).



a) Compound: C
Source: the Materials Project database
Functional: PBE
Structure: optimized geometry

The structure in CIF format:
```
data_C
_cell_length_a 4.915
_cell_length_b 5.489
_cell_length_c 6.265
_cell_angle_alpha 90.00
_cell_angle_beta 90.00
_cell_angle_gamma 90.00
_symmetry_space_group_name_H-M 'C m m m'
_symmetry_Int_Tables_number 65
_symmetry_space_group_name_Hall '-C 2 2'
loop_
_atom_site_label
_atom_site_fract_x
_atom_site_fract_y
_atom_site_fract_z
_atom_site_occupancy
C1 0.000 0.126 0.195 1
C2 0.250 0.250 0.109 1
```

M_tot	0.0	μB per cell



b) Compound: C
Source: the Materials Project database
Functional: PBE
Structure: optimized geometry

The structure in CIF format:
```
data_C
_cell_length_a 2.4680
_cell_length_b 2.4680
_cell_length_c 19.9983
_cell_angle_alpha 90.00
_cell_angle_beta 90.00
_cell_angle_gamma 120.00
_symmetry_space_group_name_H-M 'P 6/m m m'
_symmetry_Int_Tables_number 191
_symmetry_space_group_name_Hall '-P 6 2'
loop_
_atom_site_label
_atom_site_fract_x
_atom_site_fract_y
_atom_site_fract_z
_atom_site_occupancy
C1 0.3333 0.6667 0.0000 1
```



Most stable to least stable, the ends of the list are b) and a).



a) Compound: C
Source: the Materials Project database
Functional: PBE
Structure: optimized geometry

The structure in CIF format:
```
data_C
_cell_length_a 9.2047
_cell_length_b 9.2047
_cell_length_c 24.6970
_cell_angle_alpha 90.00
_cell_angle_beta 90.00
_cell_angle_gamma 120.00
_symmetry_space_group_name_H-M 'R -3 m'
_symmetry_Int_Tables_number 166
_symmetry_space_group_name_Hall '-R 3 2"'
loop_
_atom_site_label
_atom_site_fract_x
_atom_site_fract_y
_atom_site_fract_z
_atom_site_occupancy
C1 0.0017 0.1561 0.3730 1
C2 0.0166 0.2908 0.5945 1
C3 0.0329 0.2390 0.8220 1
C4 0.0460 0.5230 0.7600 1
C5 0.0579 0.4520 0.8971 1
C6 0.1076 0.2152 0.1432 1
```

M_tot	0.0	μB per cell



b) Compound: C
Source: the Materials Project database
Functional: PBE
Structure: optimized geometry

The structure in CIF format:
```
data_C
_cell_length_a 10.202
_cell_length_b 14.649
_cell_length_c 9.187
_cell_angle_alpha 90.00
_cell_angle_beta 90.00
_cell_angle_gamma 90.00
_symmetry_space_group_name_H-M 'P n n m'
_symmetry_Int_Tables_number 58
_symmetry_space_group_name_Hall '-P 2 2n'
loop_
_atom_site_label
_atom_site_fract_x
_atom_site_fract_y
_atom_site_fract_z
_atom_site_occupancy
C1 0.009 0.237 0.079 1
C2 0.034 0.125 0.332 1
C3 0.060 0.035 0.412 1
C4 0.089 0.849 0.283 1
C5 0.102 0.792 0.155 1
C6 0.137 0.208 0.127 1
C7 0.147 0.152 0.250 1
C8 0.162 0.467 0.421 1
C9 0.182 0.560 0.373 1
C10 0.183 0.003 0.333 1
C11 0.194 0.618 0.500 1
C12 0.200 0.914 0.283 1
C13 0.217 0.191 0.000 1
C14 0.218 0.821 0.076 1
C15 0.222 0.396 0.345 1
C16 0.240 0.077 0.250 1
```

M_tot	0.0	μB per cell



Most stable to least stable, the ends of the list are b) and a).